# 1
Here is crystalline La4Al5Br2 at its relaxed geometry from the Materials Project database. Energies are from GGA-PBE.

Properties
For the energy of formation from the pure elements, the calculation gives -0.974 eV/atom.

Cell: 16.2411 17.3207 4.3639 Å, 90.00 90.00 90.00°
Space group Cmmm (No. 65)
Unique sites:
La1 0.0000 0.1363 0.0000 x4
La2 0.1414 0.3183 0.5000 x8
La3 0.2349 0.0000 0.0000 x4
Al1 0.0792 0.0000 0.5000 x4
Al2 0.1521 0.1318 0.5000 x8
Al3 0.2133 0.1847 0.0000 x8
Br1 0.0000 0.3277 0.0000 x4
Br2 0.1226 0.5000 0.5000 x4

=====

# 2
Here is crystalline Li4ZrO4 at its relaxed geometry from the Materials Project database. Energies are from GGA-PBE.

Properties
For the energy of formation from the pure elements, the calculation gives -2.694 eV/atom.

Cell: 8.2923 7.4801 6.4622 Å, 90.00 90.00 90.00°
Space group Cmcm (No. 63)
Unique sites:
Li1 0.1417 0.2402 0.2500 x8
Li2 0.1565 0.5000 0.0000 x8
Zr1 0.0000 0.1543 0.7500 x4
O1 0.0000 0.2980 0.0110 x8
O2 0.2087 0.0181 0.7500 x8

=====

# 3
Here is crystalline ZnP2 at its relaxed geometry from the Materials Project database. Energies are from GGA-PBE.

Properties
For the energy of formation from the pure elements, the calculation gives -0.244 eV/atom.

Cell: 8.8969 7.3267 7.6118 Å, 90.00 102.36 90.00°
Space group P2_1/c (No. 14)
Unique sites:
Zn1 0.0807 0.2469 0.3940 x4
Zn2 0.3925 0.5961 0.2245 x4
P1 0.0780 0.7440 0.8954 x4
P2 0.2351 0.5195 0.4409 x4
P3 0.2420 0.5161 0.9276 x4
P4 0.3746 0.5731 0.7164 x4

=====

# 4
Here is crystalline Sn3Pb at its relaxed geometry from the Materials Project database. Energies are from GGA-PBE.

Properties
For the energy of formation from the pure elements, the calculation gives 0.078 eV/atom.

Cell: 3.1321 3.2344 11.6216 Å, 90.00 90.00 90.00°
Space group Pmmm (No. 47)
Unique sites:
Sn1 0.0000 0.0000 0.0000 x1
Sn2 0.0000 0.5000 0.2440 x2
Pb1 0.0000 0.0000 0.5000 x1

=====

# 5
Here is crystalline AlO2 at its relaxed geometry from the Materials Project database. Energies are from GGA-PBE.

Properties
For the energy of formation from the pure elements, the calculation gives -2.500 eV/atom.

Cell: 6.9252 3.5471 4.9965 Å, 90.00 90.00 90.00°
Space group Pnma (No. 62)
Unique sites:
Al1 0.2505 0.2500 0.1445 x4
O1 0.9997 0.2500 0.2484 x4
O2 0.2502 0.2500 0.7764 x4

=====

# 6
Here is crystalline InCuSe2 at its relaxed geometry from the Materials Project database. Energies are from GGA-PBE.

Properties
For the energy of formation from the pure elements, the calculation gives -0.464 eV/atom.

Cell: 5.5577 5.5577 10.8958 Å, 90.00 90.00 90.00°
Space group I4_1/amd (No. 141, origin choice 2)
Unique sites:
In1 0.0000 0.2500 0.3750 x4
Cu1 0.0000 0.2500 0.8750 x4
Se1 0.0000 0.2500 0.1141 x8

=====

# 7
Here is crystalline Co2Mo4N at its relaxed geometry from the Materials Project database. Energies are from GGA-PBE.

Properties
For the energy of formation from the pure elements, the calculation gives -0.203 eV/atom.

Cell: 11.2644 11.2644 11.2644 Å, 90.00 90.00 90.00°
Space group Fd-3m (No. 227, origin choice 2)
Unique sites:
Co1 0.0430 0.0430 0.2070 x32
Mo1 0.0000 0.0000 0.0000 x16
Mo2 0.0653 0.3750 0.8750 x48
N1 0.0000 0.0000 0.5000 x16

=====

# 8
Here is crystalline KTe at its relaxed geometry from the Materials Project database. Energies are from GGA-PBE.

Properties
For the energy of formation from the pure elements, the calculation gives -1.050 eV/atom.

Cell: 5.6587 5.6587 12.4479 Å, 90.00 90.00 120.00°
Space group P6_3/mmc (No. 194)
Unique sites:
K1 0.0000 0.0000 0.0000 x2
K2 0.3333 0.6667 0.2500 x2
Te1 0.3333 0.6667 0.6360 x4